Below is a relaxed Ca8Mn8O23 crystal, with properties calculated at the GGA+U level.

Cell and atoms, written as CIF:
```
data_Ca8Mn8O23
_chemical_formula_sum 'Ca32 Mn32 O92'
_symmetry_space_group_name_H-M 'P 1'
_symmetry_Int_Tables_number 1
_symmetry_space_group_name_Hall 'P 1'
_cell_length_a 10.718
_cell_length_b 10.910
_cell_length_c 15.267
_cell_angle_alpha 90.06
_cell_angle_beta 90.11
_cell_angle_gamma 90.29
loop_
_atom_site_label
_atom_site_fract_x
_atom_site_fract_y
_atom_site_fract_z
Ca1 0.000 0.000 0.000
Ca2 0.000 0.007 0.512
Ca3 0.002 0.490 0.511
Ca4 0.007 0.497 0.002
Ca5 0.245 0.746 0.002
Ca6 0.247 0.253 0.510
Ca7 0.247 0.254 0.997
Ca8 0.258 0.294 0.754
Ca9 0.258 0.793 0.756
Ca10 0.259 0.302 0.250
Ca11 0.259 0.750 0.519
Ca12 0.259 0.767 0.249
Ca13 0.498 0.544 0.755
Ca14 0.499 0.045 0.754
Ca15 0.503 0.542 0.252
Ca16 0.506 0.497 0.506
Ca17 0.508 0.495 0.002
Ca18 0.510 0.048 0.259
Ca19 0.513 0.998 0.510
Ca20 0.517 0.000 0.995
Ca21 0.746 0.747 0.508
Ca22 0.748 0.248 0.507
Ca23 0.748 0.794 0.251
Ca24 0.749 0.248 0.002
Ca25 0.751 0.749 0.003
Ca26 0.757 0.294 0.754
Ca27 0.758 0.297 0.253
Ca28 0.758 0.794 0.754
Ca29 0.979 0.054 0.251
Ca30 0.992 0.541 0.247
Ca31 0.997 0.044 0.755
Ca32 0.997 0.545 0.755
Mn1 0.000 0.273 0.129
Mn2 0.002 0.270 0.631
Mn3 0.002 0.271 0.879
Mn4 0.002 0.272 0.378
Mn5 0.003 0.771 0.879
Mn6 0.003 0.773 0.131
Mn7 0.004 0.771 0.631
Mn8 0.244 0.031 0.116
Mn9 0.251 0.520 0.630
Mn10 0.252 0.521 0.127
Mn11 0.252 0.521 0.878
Mn12 0.253 0.020 0.877
Mn13 0.253 0.021 0.632
Mn14 0.260 0.515 0.380
Mn15 0.266 0.038 0.386
Mn16 0.500 0.771 0.379
Mn17 0.502 0.272 0.629
Mn18 0.502 0.771 0.879
Mn19 0.503 0.270 0.129
Mn20 0.503 0.272 0.878
Mn21 0.505 0.771 0.631
Mn22 0.508 0.274 0.378
Mn23 0.509 0.761 0.124
Mn24 0.750 0.024 0.381
Mn25 0.750 0.518 0.379
Mn26 0.751 0.022 0.128
Mn27 0.752 0.022 0.631
Mn28 0.752 0.521 0.630
Mn29 0.752 0.521 0.879
Mn30 0.753 0.021 0.878
Mn31 0.753 0.518 0.127
Mn32 0.976 0.779 0.376
O1 0.042 0.761 0.753
O2 0.043 0.260 0.755
O3 0.044 0.262 0.255
O4 0.050 0.763 0.266
O5 0.097 0.126 0.114
O6 0.107 0.108 0.389
O7 0.107 0.625 0.607
O8 0.107 0.625 0.900
O9 0.107 0.626 0.110
O10 0.108 0.126 0.902
O11 0.108 0.128 0.609
O12 0.146 0.380 0.403
O13 0.147 0.878 0.610
O14 0.148 0.376 0.609
O15 0.149 0.376 0.899
O16 0.149 0.877 0.901
O17 0.152 0.374 0.110
O18 0.166 0.877 0.126
O19 0.211 0.010 0.756
O20 0.211 0.522 0.256
O21 0.212 0.510 0.754
O22 0.284 0.536 0.504
O23 0.289 0.019 0.507
O24 0.293 0.531 0.004
O25 0.302 0.029 0.001
O26 0.343 0.672 0.367
O27 0.355 0.168 0.649
O28 0.355 0.667 0.859
O29 0.355 0.669 0.648
O30 0.356 0.168 0.858
O31 0.358 0.147 0.159
O32 0.358 0.173 0.351
O33 0.359 0.665 0.144
O34 0.370 0.916 0.342
O35 0.397 0.414 0.152
O36 0.399 0.418 0.648
O37 0.399 0.916 0.650
O38 0.400 0.417 0.859
O39 0.400 0.917 0.856
O40 0.408 0.414 0.357
O41 0.460 0.788 0.005
O42 0.461 0.279 0.005
O43 0.462 0.279 0.503
O44 0.466 0.787 0.503
O45 0.530 0.770 0.251
O46 0.542 0.261 0.754
O47 0.543 0.760 0.755
O48 0.546 0.261 0.254
O49 0.601 0.121 0.110
O50 0.602 0.625 0.397
O51 0.603 0.120 0.398
O52 0.605 0.627 0.901
O53 0.606 0.127 0.610
O54 0.606 0.626 0.608
O55 0.608 0.129 0.897
O56 0.612 0.618 0.108
O57 0.642 0.879 0.109
O58 0.648 0.874 0.398
O59 0.649 0.376 0.608
O60 0.649 0.376 0.900
O61 0.649 0.876 0.608
O62 0.649 0.876 0.900
O63 0.650 0.371 0.108
O64 0.652 0.371 0.401
O65 0.713 0.511 0.754
O66 0.714 0.010 0.754
O67 0.714 0.509 0.253
O68 0.719 0.010 0.254
O69 0.788 0.031 0.505
O70 0.789 0.032 0.004
O71 0.790 0.532 0.504
O72 0.794 0.532 0.003
O73 0.853 0.168 0.150
O74 0.855 0.169 0.357
O75 0.855 0.667 0.859
O76 0.855 0.669 0.647
O77 0.856 0.167 0.650
O78 0.857 0.167 0.858
O79 0.857 0.657 0.357
O80 0.860 0.668 0.153
O81 0.899 0.415 0.148
O82 0.899 0.417 0.858
O83 0.899 0.916 0.150
O84 0.899 0.918 0.859
O85 0.900 0.918 0.646
O86 0.901 0.418 0.648
O87 0.901 0.929 0.360
O88 0.903 0.418 0.359
O89 0.964 0.281 0.004
O90 0.965 0.274 0.504
O91 0.969 0.784 0.007
O92 0.991 0.779 0.496
```

Calculated values
energy relative to the elements	-2.500	eV/atom
E above lowest polymorph	0	meV/atom
size of the total moment	104.00	μB per cell
MP2020-corrected energy	-0.567	Ry/atom